Record 1
Here is an optimized crystal structure of Na9Mn15O32 from Materials Project. Energies are from PBE with a Hubbard U.

The structure in POSCAR format:
```
Na9Mn15O32
1.0
6.040 0.000 0.000
2.899 5.456 0.000
2.509 -1.301 19.936
Na Mn O
9 15 32
direct
0.000 0.000 0.000 Na
0.003 0.483 0.507 Na
0.054 0.225 0.659 Na
0.093 0.462 0.319 Na
0.118 0.954 0.813 Na
0.483 0.270 0.750 Na
0.502 0.746 0.250 Na
0.605 0.697 0.068 Na
0.622 0.183 0.570 Na
0.049 0.969 0.412 Mn
0.052 0.222 0.160 Mn
0.052 0.724 0.160 Mn
0.054 0.726 0.659 Mn
0.056 0.481 0.908 Mn
0.300 0.352 0.034 Mn
0.316 0.824 0.536 Mn
0.547 0.470 0.411 Mn
0.547 0.972 0.412 Mn
0.552 0.223 0.159 Mn
0.554 0.726 0.660 Mn
0.559 0.477 0.907 Mn
0.560 0.981 0.908 Mn
0.797 0.103 0.286 Mn
0.798 0.621 0.783 Mn
0.004 0.955 0.589 O
0.106 0.494 0.728 O
0.153 0.927 0.208 O
0.212 0.194 0.964 O
0.215 0.869 0.706 O
0.219 0.085 0.469 O
0.219 0.357 0.211 O
0.220 0.665 0.465 O
0.224 0.605 0.966 O
0.385 0.096 0.101 O
0.392 0.507 0.104 O
0.393 0.337 0.858 O
0.402 0.574 0.604 O
0.438 0.963 0.593 O
0.446 0.772 0.360 O
0.447 0.264 0.360 O
0.477 0.770 0.854 O
0.637 0.676 0.467 O
0.655 0.187 0.956 O
0.656 0.172 0.461 O
0.671 0.487 0.726 O
0.707 0.877 0.716 O
0.711 0.941 0.216 O
0.718 0.350 0.217 O
0.718 0.618 0.959 O
0.880 0.270 0.355 O
0.880 0.851 0.356 O
0.886 0.087 0.108 O
0.891 0.584 0.613 O
0.892 0.358 0.849 O
0.903 0.769 0.855 O
0.950 0.520 0.113 O
```

Calculated values
Symmetry   P1, No. 1

---

Record 2
Here is an optimized crystal structure of CsMnO4 from Materials Project. Energies are from PBE with a Hubbard U.

The structure in POSCAR format:
```
CsMnO4
1.0
10.228 0.000 0.000
0.000 6.003 0.000
0.000 0.000 8.163
Cs Mn O
4 4 16
direct
0.189 0.250 0.154 Cs
0.311 0.750 0.654 Cs
0.689 0.250 0.346 Cs
0.811 0.750 0.846 Cs
0.051 0.250 0.705 Mn
0.449 0.750 0.205 Mn
0.551 0.250 0.795 Mn
0.949 0.750 0.295 Mn
0.079 0.030 0.815 O
0.079 0.470 0.815 O
0.100 0.750 0.352 O
0.147 0.250 0.548 O
0.353 0.750 0.048 O
0.400 0.250 0.852 O
0.421 0.530 0.315 O
0.421 0.970 0.315 O
0.579 0.030 0.685 O
0.579 0.470 0.685 O
0.600 0.750 0.148 O
0.647 0.250 0.952 O
0.853 0.750 0.452 O
0.900 0.250 0.648 O
0.921 0.530 0.185 O
0.921 0.970 0.185 O
```

Calculated values
Symmetry   Pnma, No. 62

---

Record 3
Here is an optimized crystal structure of Ag6Mo10O33 from Materials Project. Energies are from PBE with a Hubbard U.

The structure in POSCAR format:
```
Ag6Mo10O33
1.0
7.667 0.000 0.000
2.346 8.109 0.000
2.507 0.849 11.161
Ag Mo O
6 10 33
direct
0.055 0.024 0.238 Ag
0.153 0.495 0.752 Ag
0.338 0.022 0.789 Ag
0.662 0.978 0.211 Ag
0.847 0.505 0.248 Ag
0.945 0.976 0.762 Ag
0.069 0.274 0.511 Mo
0.203 0.703 0.015 Mo
0.317 0.500 0.318 Mo
0.356 0.302 0.030 Mo
0.428 0.731 0.490 Mo
0.572 0.269 0.510 Mo
0.644 0.698 0.970 Mo
0.683 0.500 0.682 Mo
0.797 0.297 0.985 Mo
0.931 0.726 0.489 Mo
0.010 0.848 0.085 O
0.054 0.487 0.379 O
0.098 0.165 0.651 O
0.110 0.125 0.411 O
0.151 0.494 0.079 O
0.163 0.704 0.870 O
0.204 0.674 0.466 O
0.254 0.149 0.112 O
0.281 0.671 0.212 O
0.315 0.324 0.482 O
0.316 0.847 0.612 O
0.328 0.297 0.883 O
0.387 0.830 0.976 O
0.402 0.332 0.227 O
0.462 0.873 0.368 O
0.469 0.492 0.621 O
0.500 0.500 0.000 O
0.531 0.508 0.379 O
0.538 0.127 0.632 O
0.598 0.668 0.773 O
0.613 0.170 0.024 O
0.672 0.703 0.117 O
0.684 0.153 0.388 O
0.685 0.676 0.518 O
0.719 0.329 0.788 O
0.746 0.851 0.888 O
0.796 0.326 0.534 O
0.837 0.296 0.130 O
0.849 0.506 0.921 O
0.890 0.875 0.589 O
0.902 0.835 0.349 O
0.946 0.513 0.621 O
0.990 0.152 0.915 O
```

Calculated values
Symmetry   P-1, No. 2

---

Record 4
Here is an optimized crystal structure of MgTiVO4 from Materials Project. Energies are from PBE with a Hubbard U.

The structure in POSCAR format:
```
MgTiVO4
1.0
-2.085 2.089 4.218
2.085 -2.089 4.218
2.085 2.089 -4.218
Mg Ti V O
1 1 1 4
direct
0.000 0.000 0.000 Mg
0.502 0.502 0.000 Ti
0.252 0.752 0.500 V
0.009 0.509 0.500 O
0.269 0.269 0.000 O
0.496 0.996 0.500 O
0.737 0.737 0.000 O
```

Calculated values
Symmetry   Imm2, No. 44

---

Record 5
Here is an optimized crystal structure of Dy2NiRuO6 from Materials Project. Energies are from PBE with a Hubbard U.

The structure in POSCAR format:
```
Dy2NiRuO6
1.0
5.296 0.000 0.000
0.000 5.760 0.000
-5.298 0.000 7.573
Dy Ni Ru O
4 2 2 12
direct
0.225 0.078 0.252 Dy
0.225 0.422 0.752 Dy
0.775 0.578 0.248 Dy
0.775 0.922 0.748 Dy
0.500 0.000 0.000 Ni
0.500 0.500 0.500 Ni
0.000 0.000 0.500 Ru
0.000 0.500 0.000 Ru
0.118 0.197 0.935 O
0.118 0.303 0.435 O
0.257 0.690 0.944 O
0.257 0.810 0.444 O
0.370 0.045 0.746 O
0.370 0.455 0.246 O
0.630 0.545 0.754 O
0.630 0.955 0.254 O
0.743 0.190 0.556 O
0.743 0.310 0.056 O
0.882 0.697 0.565 O
0.882 0.803 0.065 O
```

Calculated values
Symmetry   P2_1/c, No. 14

---

Record 6
Here is an optimized crystal structure of Mn3Fe2P6WO24 from Materials Project. Energies are from PBE with a Hubbard U.

The structure in POSCAR format:
```
Mn3Fe2P6WO24
1.0
4.401 2.541 7.005
-4.401 2.541 7.005
0.000 -5.082 7.005
Mn Fe P W O
3 2 6 1 24
direct
0.000 0.000 0.000 Mn
0.205 0.205 0.205 Mn
0.706 0.706 0.706 Mn
0.343 0.343 0.343 Fe
0.851 0.851 0.851 Fe
0.097 0.407 0.810 P
0.301 0.900 0.605 P
0.407 0.810 0.097 P
0.605 0.301 0.900 P
0.810 0.097 0.407 P
0.900 0.605 0.301 P
0.495 0.495 0.495 W
0.044 0.257 0.827 O
0.090 0.446 0.288 O
0.106 0.895 0.751 O
0.170 0.365 0.958 O
0.257 0.827 0.044 O
0.263 0.434 0.606 O
0.288 0.090 0.446 O
0.365 0.958 0.170 O
0.369 0.734 0.527 O
0.434 0.606 0.263 O
0.446 0.288 0.090 O
0.447 0.857 0.679 O
0.527 0.369 0.734 O
0.606 0.263 0.434 O
0.607 0.788 0.949 O
0.679 0.447 0.857 O
0.734 0.527 0.369 O
0.751 0.106 0.895 O
0.788 0.949 0.607 O
0.827 0.044 0.257 O
0.857 0.679 0.447 O
0.895 0.751 0.106 O
0.949 0.607 0.788 O
0.958 0.170 0.365 O
```

Calculated values
Symmetry   R3, No. 146

---

Record 7
Here is an optimized crystal structure of Na2V2O5 from Materials Project. Energies are from PBE with a Hubbard U.

The structure in POSCAR format:
```
Na2V2O5
1.0
6.610 0.000 0.000
0.000 5.348 0.000
0.000 0.000 17.007
Na V O
8 8 20
direct
0.095 0.224 0.057 Na
0.095 0.776 0.557 Na
0.405 0.276 0.557 Na
0.405 0.724 0.057 Na
0.595 0.276 0.943 Na
0.595 0.724 0.443 Na
0.905 0.224 0.443 Na
0.905 0.776 0.943 Na
0.094 0.292 0.849 V
0.094 0.708 0.349 V
0.406 0.208 0.349 V
0.406 0.792 0.849 V
0.594 0.208 0.151 V
0.594 0.792 0.651 V
0.906 0.292 0.651 V
0.906 0.708 0.151 V
0.000 0.241 0.750 O
0.000 0.759 0.250 O
0.057 0.219 0.570 O
0.057 0.781 0.070 O
0.157 0.370 0.362 O
0.157 0.630 0.862 O
0.343 0.130 0.862 O
0.343 0.870 0.362 O
0.443 0.281 0.070 O
0.443 0.719 0.570 O
0.500 0.259 0.250 O
0.500 0.741 0.750 O
0.557 0.281 0.430 O
0.557 0.719 0.930 O
0.657 0.130 0.638 O
0.657 0.870 0.138 O
0.843 0.370 0.138 O
0.843 0.630 0.638 O
0.943 0.219 0.930 O
0.943 0.781 0.430 O
```

Calculated values
Symmetry   Pbcn, No. 60

---

Record 8
Here is an optimized crystal structure of MnSiO6F6 from Materials Project. Energies are from PBE with a Hubbard U.

The structure in POSCAR format:
```
MnSiO6F6
1.0
9.097 0.000 0.000
-4.548 7.878 0.000
0.000 0.000 8.188
Mn Si O F
3 3 18 18
direct
0.000 0.000 0.000 Mn
0.333 0.667 0.644 Mn
0.667 0.333 0.356 Mn
0.000 0.000 0.500 Si
0.333 0.667 0.173 Si
0.667 0.333 0.827 Si
0.054 0.192 0.122 O
0.137 0.946 0.122 O
0.141 0.575 0.799 O
0.191 0.476 0.562 O
0.192 0.137 0.878 O
0.285 0.809 0.562 O
0.425 0.566 0.799 O
0.434 0.859 0.799 O
0.476 0.285 0.438 O
0.524 0.715 0.562 O
0.566 0.141 0.201 O
0.575 0.434 0.201 O
0.715 0.191 0.438 O
0.808 0.863 0.122 O
0.809 0.524 0.438 O
0.859 0.425 0.201 O
0.863 0.054 0.878 O
0.946 0.808 0.878 O
0.031 0.864 0.621 F
0.136 0.168 0.621 F
0.162 0.535 0.292 F
0.168 0.031 0.379 F
0.202 0.706 0.051 F
0.294 0.496 0.051 F
0.373 0.838 0.292 F
0.465 0.627 0.292 F
0.496 0.202 0.949 F
0.504 0.798 0.051 F
0.535 0.373 0.708 F
0.627 0.162 0.708 F
0.706 0.504 0.949 F
0.798 0.294 0.949 F
0.832 0.969 0.621 F
0.838 0.465 0.708 F
0.864 0.832 0.379 F
0.969 0.136 0.379 F
```

Calculated values
Symmetry   P-3, No. 147

---

Record 9
Here is an optimized crystal structure of Mg2Cr9O13 from Materials Project. Energies are from PBE with a Hubbard U.

The structure in POSCAR format:
```
Mg2Cr9O13
1.0
5.099 -1.496 0.000
5.099 1.496 0.000
-2.358 0.000 16.822
Mg Cr O
2 9 13
direct
0.219 0.219 0.231 Mg
0.781 0.781 0.769 Mg
0.003 0.003 0.671 Cr
0.068 0.068 0.877 Cr
0.249 0.249 0.584 Cr
0.356 0.356 0.957 Cr
0.500 0.500 0.500 Cr
0.644 0.644 0.043 Cr
0.751 0.751 0.416 Cr
0.932 0.932 0.123 Cr
0.997 0.997 0.329 Cr
0.000 0.000 0.000 O
0.123 0.123 0.474 O
0.147 0.147 0.779 O
0.303 0.303 0.073 O
0.367 0.367 0.691 O
0.398 0.398 0.386 O
0.430 0.430 0.854 O
0.570 0.570 0.146 O
0.602 0.602 0.614 O
0.633 0.633 0.309 O
0.697 0.697 0.927 O
0.853 0.853 0.221 O
0.877 0.877 0.526 O
```

Calculated values
Symmetry   C2/m, No. 12

---

Record 10
Here is an optimized crystal structure of Li2CrP2O7 from Materials Project. Energies are from PBE with a Hubbard U.

The structure in POSCAR format:
```
Li2CrP2O7
1.0
7.288 -2.816 0.000
7.288 2.816 0.000
-3.732 0.000 7.050
Li Cr P O
4 2 4 14
direct
0.064 0.375 0.310 Li
0.375 0.064 0.810 Li
0.625 0.936 0.190 Li
0.936 0.625 0.690 Li
0.000 0.000 0.000 Cr
0.000 0.000 0.500 Cr
0.248 0.526 0.144 P
0.474 0.752 0.356 P
0.526 0.248 0.644 P
0.752 0.474 0.856 P
0.063 0.698 0.285 O
0.115 0.660 0.971 O
0.253 0.358 0.583 O
0.302 0.937 0.215 O
0.340 0.885 0.529 O
0.358 0.253 0.083 O
0.493 0.507 0.250 O
0.507 0.493 0.750 O
0.642 0.747 0.917 O
0.660 0.115 0.471 O
0.698 0.063 0.785 O
0.747 0.642 0.417 O
0.885 0.340 0.029 O
0.937 0.302 0.715 O
```

Calculated values
Symmetry   C2/c, No. 15

---

Record 11
Here is an optimized crystal structure of Li4Co3O7 from Materials Project. Energies are from PBE with a Hubbard U.

The structure in POSCAR format:
```
Li4Co3O7
1.0
5.056 0.000 0.000
-1.744 5.616 0.000
-0.772 -0.406 8.662
Li Co O
8 6 14
direct
0.000 0.000 0.000 Li
0.003 0.502 0.002 Li
0.150 0.291 0.278 Li
0.285 0.571 0.573 Li
0.430 0.853 0.864 Li
0.579 0.152 0.142 Li
0.718 0.431 0.430 Li
0.863 0.713 0.724 Li
0.143 0.781 0.281 Co
0.287 0.069 0.573 Co
0.441 0.364 0.862 Co
0.573 0.641 0.140 Co
0.717 0.929 0.430 Co
0.863 0.220 0.722 Co
0.012 0.762 0.498 O
0.131 0.502 0.782 O
0.134 0.055 0.780 O
0.316 0.812 0.087 O
0.324 0.349 0.066 O
0.422 0.100 0.366 O
0.443 0.623 0.349 O
0.581 0.377 0.660 O
0.590 0.920 0.643 O
0.695 0.669 0.942 O
0.716 0.186 0.909 O
0.846 0.490 0.216 O
0.848 0.945 0.216 O
0.989 0.234 0.515 O
```

Calculated values
Symmetry   P1, No. 1

---

Energy of formation (computed, eV per atom): -1.92, -1.49, -1.63, -2.83, -2.65, -2.38, -2.30, -1.16, -2.16, -2.62, -1.70